Here is crystalline P2H24PdC12Br2N6 at its relaxed geometry from the Materials Project. Energies are from PBE-GGA.

Geometry as POSCAR:
```
P2H24PdC12Br2N6
1.0
7.435 0.000 0.000
0.000 12.022 0.000
-6.516 0.000 10.516
P H Pd C Br N
4 48 2 24 4 12
direct
0.088 0.174 0.452
0.088 0.326 0.952
0.912 0.674 0.048
0.912 0.826 0.548
0.025 0.046 0.734
0.025 0.454 0.234
0.051 0.676 0.477
0.051 0.824 0.977
0.093 0.660 0.280
0.093 0.840 0.780
0.175 0.116 0.295
0.175 0.384 0.795
0.176 0.646 0.803
0.176 0.854 0.303
0.234 0.711 0.639
0.234 0.789 0.139
0.252 0.064 0.079
0.252 0.436 0.579
0.276 0.503 0.460
0.276 0.997 0.960
0.388 0.247 0.147
0.388 0.253 0.647
0.395 0.106 0.839
0.395 0.394 0.339
0.456 0.250 0.377
0.456 0.250 0.877
0.475 0.173 0.562
0.475 0.327 0.062
0.525 0.673 0.938
0.525 0.827 0.438
0.544 0.750 0.123
0.544 0.750 0.623
0.605 0.606 0.661
0.605 0.894 0.161
0.612 0.747 0.353
0.612 0.753 0.853
0.724 0.003 0.040
0.724 0.497 0.540
0.748 0.564 0.421
0.748 0.936 0.921
0.766 0.211 0.861
0.766 0.289 0.361
0.824 0.146 0.697
0.824 0.354 0.197
0.825 0.616 0.205
0.825 0.884 0.705
0.907 0.160 0.220
0.907 0.340 0.720
0.949 0.176 0.023
0.949 0.324 0.523
0.975 0.546 0.766
0.975 0.954 0.266
0.000 0.000 0.500
0.000 0.500 0.000
0.011 0.623 0.733
0.011 0.877 0.233
0.066 0.695 0.568
0.066 0.805 0.068
0.070 0.180 0.295
0.070 0.320 0.795
0.234 0.076 0.986
0.234 0.424 0.486
0.351 0.182 0.870
0.351 0.318 0.370
0.359 0.236 0.552
0.359 0.264 0.052
0.641 0.736 0.948
0.641 0.764 0.448
0.649 0.682 0.630
0.649 0.818 0.130
0.766 0.576 0.514
0.766 0.924 0.014
0.930 0.680 0.205
0.930 0.820 0.705
0.934 0.195 0.932
0.934 0.305 0.432
0.989 0.123 0.767
0.989 0.377 0.267
0.380 0.546 0.141
0.380 0.954 0.641
0.620 0.046 0.359
0.620 0.454 0.859
0.011 0.102 0.891
0.011 0.398 0.391
0.131 0.211 0.771
0.131 0.289 0.271
0.383 0.162 0.996
0.383 0.338 0.496
0.617 0.662 0.504
0.617 0.838 0.004
0.869 0.711 0.729
0.869 0.789 0.229
0.989 0.602 0.609
0.989 0.898 0.109
```

Calculated values
Final energy   -5.653 eV per atom
Energy of formation from the pure elements   -0.136 eV per atom